First-principles (GGA+U) data for a relaxed MnH4S2O9 crystal, as listed in Materials Project.

a = 5.129 Å, b = 8.862 Å, c = 16.875 Å
α = 70.38°, β = 90.00°, γ = 90.00°
Atoms (fractional coordinates):
1 Mn 0.750 0.243 0.012
2 Mn 0.250 0.757 0.488
3 Mn 0.250 0.757 0.988
4 Mn 0.750 0.243 0.512
5 H 0.230 0.408 0.783
6 H 0.730 0.592 0.717
7 H 0.770 0.592 0.217
8 H 0.270 0.408 0.283
9 H 0.927 0.155 0.773
10 H 0.427 0.845 0.727
11 H 0.073 0.845 0.227
12 H 0.573 0.155 0.273
13 H 0.219 0.294 0.685
14 H 0.719 0.706 0.815
15 H 0.781 0.706 0.315
16 H 0.281 0.294 0.185
17 H 0.367 0.186 0.765
18 H 0.867 0.814 0.735
19 H 0.633 0.814 0.235
20 H 0.133 0.186 0.265
21 S 0.242 0.468 0.898
22 S 0.742 0.532 0.602
23 S 0.758 0.532 0.102
24 S 0.258 0.468 0.398
25 S 0.753 0.000 0.888
26 S 0.253 0.000 0.612
27 S 0.247 0.000 0.112
28 S 0.747 0.000 0.388
29 O 0.400 0.324 0.936
30 O 0.900 0.676 0.564
31 O 0.600 0.676 0.064
32 O 0.100 0.324 0.436
33 O 0.967 0.444 0.924
34 O 0.467 0.556 0.576
35 O 0.033 0.556 0.076
36 O 0.533 0.444 0.424
37 O 0.352 0.614 0.908
38 O 0.852 0.386 0.592
39 O 0.648 0.386 0.092
40 O 0.148 0.614 0.408
41 O 0.251 0.507 0.800
42 O 0.751 0.493 0.700
43 O 0.749 0.493 0.200
44 O 0.249 0.507 0.300
45 O 0.477 0.959 0.903
46 O 0.977 0.041 0.597
47 O 0.523 0.041 0.097
48 O 0.023 0.959 0.403
49 O 0.920 0.858 0.902
50 O 0.420 0.142 0.598
51 O 0.080 0.142 0.098
52 O 0.580 0.858 0.402
53 O 0.852 0.109 0.929
54 O 0.352 0.891 0.571
55 O 0.148 0.891 0.071
56 O 0.648 0.109 0.429
57 O 0.755 0.096 0.790
58 O 0.255 0.904 0.710
59 O 0.245 0.904 0.210
60 O 0.745 0.096 0.290
61 O 0.212 0.254 0.747
62 O 0.712 0.746 0.753
63 O 0.788 0.746 0.253
64 O 0.288 0.254 0.247

Calculated values
- Crystal system: monoclinic
- Energy of formation: -1695 meV per atom
- Theoretical density: 2.5 g/cm³
- Volume: 11.3 A^3/atom